Computed, not measured: PrLu3 after structural relaxation at the PBE-GGA level of DFT.

## Properties
Total energy: -4.57 eV/atom
Formation enthalpy at 0 K: 0.015 eV/atom

Lattice parameters (Å, degrees): 7.1621 7.1621 5.6259 90.00 90.00 120.00
With the nearest neighbours (Å) after each atom.
Space group P6_3/mmc (No. 194)
Asymmetric unit:
Pr: 0.3333 0.6667 0.2500 x2  12 Lu 3.51-3.58
Lu: 0.1639 0.3278 0.7500 x6  8 Lu 3.47-3.64, 4 Pr 3.51-3.58

Computed, not measured: Pr4Lu11S22 after structural relaxation at the PBE-GGA level of DFT.

## Properties
Total energy: -6.36 eV/atom
Total magnetization: 0.00 μB per formula unit
Formation enthalpy at 0 K: -2.342 eV/atom

Lattice parameters (Å, degrees): 38.8535 3.9204 11.2692 90.00 91.35 90.00
With the nearest neighbours (Å) after each atom.
Space group C2/m (No. 12)
Asymmetric unit:
Pr: 0.1042 0.0000 0.0131 x4  8 S 2.92-3.04
Pr: 0.1332 0.5000 0.6517 x4  7 S 2.91-2.99
Lu: 0.0000 0.0000 0.0000 x2  6 S 2.69-2.72
Lu: 0.0381 0.5000 0.7292 x4  6 S 2.61-2.73
Lu: 0.0696 0.0000 0.3615 x4  6 S 2.62-2.73
Lu: 0.1578 0.5000 0.3010 x4  6 S 2.62-2.75
Lu: 0.2024 0.0000 0.9419 x4  7 S 2.66-2.85
Lu: 0.2367 0.5000 0.6481 x4  6 S 2.63-2.74
S: 0.0079 0.0000 0.2404 x4  4 Lu 2.68-2.73
S: 0.0464 0.5000 0.9684 x4  3 Lu 2.69-2.71, 2 Pr 3.02
S: 0.0550 0.5000 0.5064 x4  3 Lu 2.61-2.62
S: 0.0869 0.0000 0.7528 x4  2 Lu 2.73, 3 Pr 2.91-2.99
S: 0.0928 0.5000 0.2145 x4  3 Lu 2.68-2.73
S: 0.1349 0.0000 0.4511 x4  3 Lu 2.71-2.75, 2 Pr 2.99
S: 0.1502 0.5000 0.9083 x4  2 Lu 2.84, 3 Pr 2.92-2.95
S: 0.1691 0.0000 0.1526 x4  3 Lu 2.62-2.73
S: 0.1899 0.0000 0.6915 x4  3 Lu 2.73-2.85, 2 Pr 2.98
S: 0.2198 0.5000 0.4108 x4  4 Lu 2.68-2.74
S: 0.2449 0.5000 0.8807 x4  4 Lu 2.63-2.83

Look up the formation enthalpy at 0 K of the first one.
0.015 eV/atom